[1]
Density functional theory data (GGA+U) for an optimized crystal structure of Na2FeH4S2O10.

abc: 5.814 13.262 5.550
angles: 90.00 106.51 90.00
Atoms (fractional coordinates):
1 Na 0.077 0.118 0.260
2 Na 0.077 0.382 0.760
3 Na 0.923 0.618 0.240
4 Na 0.923 0.882 0.740
5 Fe 0.500 0.000 0.000
6 Fe 0.500 0.500 0.500
7 H 0.176 0.150 0.817
8 H 0.176 0.350 0.317
9 H 0.410 0.201 0.993
10 H 0.410 0.299 0.493
11 H 0.590 0.701 0.507
12 H 0.590 0.799 0.007
13 H 0.824 0.650 0.683
14 H 0.824 0.850 0.183
15 S 0.277 0.617 0.925
16 S 0.277 0.883 0.425
17 S 0.723 0.117 0.575
18 S 0.723 0.383 0.075
19 O 0.070 0.687 0.896
20 O 0.070 0.813 0.396
21 O 0.239 0.559 0.682
22 O 0.239 0.941 0.182
23 O 0.272 0.544 0.130
24 O 0.272 0.956 0.630
25 O 0.312 0.139 0.973
26 O 0.312 0.361 0.473
27 O 0.494 0.172 0.515
28 O 0.494 0.328 0.015
29 O 0.506 0.672 0.985
30 O 0.506 0.828 0.485
31 O 0.688 0.639 0.527
32 O 0.688 0.861 0.027
33 O 0.728 0.044 0.370
34 O 0.728 0.456 0.870
35 O 0.761 0.059 0.818
36 O 0.761 0.441 0.318
37 O 0.930 0.187 0.604
38 O 0.930 0.313 0.104

Values from the calculation:
The calculation puts the raw total energy at -5.67 eV per atom. The calculation puts the formation enthalpy at 0 K at -1.811 eV per atom.


[2]
Density functional theory data (GGA+U) for an optimized crystal structure of NaFe9H18S6O44.

abc: 12.040 12.040 10.279
angles: 111.11 111.11 36.22
Atoms (fractional coordinates):
1 Na 0.000 0.000 0.000
2 Fe 0.000 0.500 0.500
3 Fe 0.158 0.673 0.161
4 Fe 0.169 0.169 0.174
5 Fe 0.327 0.842 0.839
6 Fe 0.500 0.000 0.500
7 Fe 0.500 0.500 0.500
8 Fe 0.673 0.158 0.161
9 Fe 0.831 0.831 0.826
10 Fe 0.842 0.327 0.839
11 H 0.006 0.006 0.700
12 H 0.063 0.479 0.759
13 H 0.143 0.721 0.427
14 H 0.186 0.602 0.904
15 H 0.279 0.857 0.573
16 H 0.325 0.325 0.626
17 H 0.336 0.336 0.045
18 H 0.398 0.814 0.096
19 H 0.479 0.063 0.759
20 H 0.521 0.937 0.241
21 H 0.602 0.186 0.904
22 H 0.664 0.664 0.955
23 H 0.675 0.675 0.374
24 H 0.721 0.143 0.427
25 H 0.814 0.398 0.096
26 H 0.857 0.279 0.573
27 H 0.937 0.521 0.241
28 H 0.994 0.994 0.300
29 S 0.126 0.126 0.437
30 S 0.207 0.207 0.900
31 S 0.462 0.462 0.772
32 S 0.538 0.538 0.228
33 S 0.793 0.793 0.100
34 S 0.874 0.874 0.563
35 O 0.001 0.673 0.501
36 O 0.006 0.331 0.836
37 O 0.025 0.414 0.293
38 O 0.045 0.045 0.787
39 O 0.067 0.067 0.468
40 O 0.078 0.706 0.960
41 O 0.108 0.108 0.281
42 O 0.223 0.223 0.055
43 O 0.250 0.637 0.374
44 O 0.265 0.265 0.871
45 O 0.283 0.283 0.548
46 O 0.294 0.922 0.040
47 O 0.327 0.999 0.499
48 O 0.331 0.006 0.836
49 O 0.336 0.663 0.836
50 O 0.337 0.664 0.164
51 O 0.363 0.750 0.626
52 O 0.364 0.364 0.318
53 O 0.380 0.380 0.118
54 O 0.403 0.403 0.800
55 O 0.414 0.025 0.293
56 O 0.446 0.446 0.617
57 O 0.554 0.554 0.383
58 O 0.586 0.975 0.707
59 O 0.597 0.597 0.200
60 O 0.620 0.620 0.882
61 O 0.636 0.636 0.682
62 O 0.637 0.250 0.374
63 O 0.663 0.336 0.836
64 O 0.664 0.337 0.164
65 O 0.669 0.994 0.164
66 O 0.673 0.001 0.501
67 O 0.706 0.078 0.960
68 O 0.717 0.717 0.452
69 O 0.735 0.735 0.129
70 O 0.750 0.363 0.626
71 O 0.777 0.777 0.945
72 O 0.892 0.892 0.719
73 O 0.922 0.294 0.040
74 O 0.933 0.933 0.532
75 O 0.955 0.955 0.213
76 O 0.975 0.586 0.707
77 O 0.994 0.669 0.164
78 O 0.999 0.327 0.499

Values from the calculation:
The calculation puts the raw total energy at -5.75 eV per atom. The calculation puts the formation enthalpy at 0 K at -1.509 eV per atom.


[3]
Density functional theory data (GGA+U) for an optimized crystal structure of NaFe3H6S2O14.

abc: 7.033 7.033 7.033
angles: 63.60 63.60 63.60
Atoms (fractional coordinates):
1 Na 0.000 0.000 0.000
2 Fe 0.000 0.000 0.500
3 Fe 0.000 0.500 0.000
4 Fe 0.500 0.000 0.000
5 H 0.283 0.694 0.694
6 H 0.306 0.306 0.717
7 H 0.306 0.717 0.306
8 H 0.694 0.283 0.694
9 H 0.694 0.694 0.283
10 H 0.717 0.306 0.306
11 S 0.313 0.313 0.313
12 S 0.687 0.687 0.687
13 O 0.118 0.743 0.743
14 O 0.173 0.173 0.503
15 O 0.173 0.503 0.173
16 O 0.257 0.257 0.882
17 O 0.257 0.882 0.257
18 O 0.401 0.401 0.401
19 O 0.497 0.827 0.827
20 O 0.503 0.173 0.173
21 O 0.599 0.599 0.599
22 O 0.743 0.118 0.743
23 O 0.743 0.743 0.118
24 O 0.827 0.497 0.827
25 O 0.827 0.827 0.497
26 O 0.882 0.257 0.257

Values from the calculation:
The calculation puts the raw total energy at -5.84 eV per atom. The energy above the most stable polymorph in this dataset is 0.000 eV per atom. The calculation puts the formation enthalpy at 0 K at -1.674 eV per atom.


[4]
Density functional theory data (GGA+U) for an optimized crystal structure of NaFe9H18S6O44.

abc: 12.040 12.040 10.291
angles: 110.94 110.94 35.83
Atoms (fractional coordinates):
1 Na 0.000 0.000 0.000
2 Fe 0.000 0.500 0.500
3 Fe 0.165 0.165 0.157
4 Fe 0.169 0.664 0.171
5 Fe 0.336 0.831 0.829
6 Fe 0.500 0.000 0.500
7 Fe 0.500 0.500 0.500
8 Fe 0.664 0.169 0.171
9 Fe 0.831 0.336 0.829
10 Fe 0.835 0.835 0.843
11 H 0.009 0.009 0.703
12 H 0.052 0.477 0.761
13 H 0.148 0.727 0.429
14 H 0.191 0.599 0.909
15 H 0.273 0.852 0.571
16 H 0.328 0.328 0.631
17 H 0.340 0.340 0.043
18 H 0.401 0.809 0.091
19 H 0.477 0.052 0.761
20 H 0.523 0.948 0.239
21 H 0.599 0.191 0.909
22 H 0.660 0.660 0.957
23 H 0.672 0.672 0.369
24 H 0.727 0.148 0.429
25 H 0.809 0.401 0.091
26 H 0.852 0.273 0.571
27 H 0.948 0.523 0.239
28 H 0.991 0.991 0.297
29 S 0.127 0.127 0.431
30 S 0.206 0.206 0.892
31 S 0.460 0.460 0.771
32 S 0.540 0.540 0.229
33 S 0.794 0.794 0.108
34 S 0.873 0.873 0.569
35 O 0.000 0.330 0.492
36 O 0.000 0.670 0.508
37 O 0.003 0.334 0.830
38 O 0.037 0.413 0.291
39 O 0.047 0.047 0.790
40 O 0.069 0.069 0.462
41 O 0.081 0.701 0.963
42 O 0.109 0.109 0.275
43 O 0.222 0.222 0.047
44 O 0.253 0.641 0.373
45 O 0.264 0.264 0.864
46 O 0.286 0.286 0.555
47 O 0.299 0.919 0.037
48 O 0.304 0.304 0.327
49 O 0.330 0.000 0.492
50 O 0.332 0.662 0.835
51 O 0.334 0.003 0.830
52 O 0.338 0.668 0.165
53 O 0.359 0.747 0.627
54 O 0.382 0.382 0.118
55 O 0.401 0.401 0.800
56 O 0.413 0.037 0.291
57 O 0.443 0.443 0.617
58 O 0.557 0.557 0.383
59 O 0.587 0.963 0.709
60 O 0.599 0.599 0.200
61 O 0.618 0.618 0.882
62 O 0.641 0.253 0.373
63 O 0.662 0.332 0.835
64 O 0.666 0.997 0.170
65 O 0.668 0.338 0.165
66 O 0.670 0.000 0.508
67 O 0.696 0.696 0.673
68 O 0.701 0.081 0.963
69 O 0.714 0.714 0.445
70 O 0.736 0.736 0.136
71 O 0.747 0.359 0.627
72 O 0.778 0.778 0.953
73 O 0.891 0.891 0.725
74 O 0.919 0.299 0.037
75 O 0.931 0.931 0.538
76 O 0.953 0.953 0.210
77 O 0.963 0.587 0.709
78 O 0.997 0.666 0.170

Values from the calculation:
The calculation puts the raw total energy at -5.75 eV per atom. The calculation puts the formation enthalpy at 0 K at -1.507 eV per atom.


[5]
Density functional theory data (GGA+U) for an optimized crystal structure of NaFe3H6S2O14.

abc: 7.020 7.020 7.020
angles: 65.07 65.07 65.07
Atoms (fractional coordinates):
1 Na 0.000 0.000 0.000
2 Fe 0.000 0.000 0.500
3 Fe 0.000 0.500 0.000
4 Fe 0.500 0.000 0.000
5 H 0.197 0.630 0.630
6 H 0.370 0.370 0.803
7 H 0.370 0.803 0.370
8 H 0.630 0.197 0.630
9 H 0.630 0.630 0.197
10 H 0.803 0.370 0.370
11 S 0.316 0.316 0.316
12 S 0.684 0.684 0.684
13 O 0.114 0.726 0.726
14 O 0.176 0.176 0.502
15 O 0.176 0.502 0.176
16 O 0.274 0.274 0.886
17 O 0.274 0.886 0.274
18 O 0.404 0.404 0.404
19 O 0.498 0.824 0.824
20 O 0.502 0.176 0.176
21 O 0.596 0.596 0.596
22 O 0.726 0.114 0.726
23 O 0.726 0.726 0.114
24 O 0.824 0.498 0.824
25 O 0.824 0.824 0.498
26 O 0.886 0.274 0.274

Values from the calculation:
The calculation puts the raw total energy at -5.73 eV per atom. The energy above the most stable polymorph in this dataset is 0.109 eV per atom. The calculation puts the formation enthalpy at 0 K at -1.565 eV per atom.


[6]
Density functional theory data (GGA+U) for an optimized crystal structure of NaFe2H3S2O8.

abc: 7.966 9.109 11.478
angles: 107.07 98.09 99.80
Atoms (fractional coordinates):
1 Na 0.000 0.000 0.000
2 Na 0.222 0.748 0.573
3 Na 0.501 0.503 0.500
4 Na 0.725 0.248 0.075
5 Fe 0.033 0.280 0.380
6 Fe 0.111 0.875 0.288
7 Fe 0.194 0.470 0.192
8 Fe 0.362 0.125 0.537
9 Fe 0.532 0.779 0.881
10 Fe 0.613 0.375 0.788
11 Fe 0.692 0.971 0.694
12 Fe 0.861 0.624 0.037
13 H 0.020 0.990 0.635
14 H 0.024 0.066 0.483
15 H 0.198 0.684 0.091
16 H 0.204 0.759 0.939
17 H 0.325 0.883 0.065
18 H 0.399 0.366 0.010
19 H 0.521 0.490 0.136
20 H 0.524 0.566 0.984
21 H 0.702 0.185 0.593
22 H 0.704 0.259 0.440
23 H 0.825 0.383 0.565
24 H 0.899 0.866 0.509
25 S 0.241 0.457 0.666
26 S 0.343 0.062 0.819
27 S 0.382 0.189 0.256
28 S 0.486 0.794 0.410
29 S 0.740 0.958 0.167
30 S 0.842 0.561 0.319
31 S 0.881 0.689 0.756
32 S 0.985 0.291 0.909
33 O 0.031 0.278 0.041
34 O 0.110 0.092 0.434
35 O 0.113 0.656 0.140
36 O 0.189 0.467 0.534
37 O 0.237 0.285 0.269
38 O 0.258 0.036 0.682
39 O 0.282 0.015 0.200
40 O 0.320 0.630 0.742
41 O 0.321 0.787 0.994
42 O 0.323 0.872 0.421
43 O 0.402 0.378 0.653
44 O 0.402 0.459 0.084
45 O 0.410 0.622 0.333
46 O 0.442 0.236 0.876
47 O 0.467 0.215 0.392
48 O 0.489 0.967 0.806
49 O 0.533 0.784 0.543
50 O 0.611 0.592 0.936
51 O 0.614 0.159 0.641
52 O 0.689 0.966 0.034
53 O 0.735 0.784 0.770
54 O 0.754 0.534 0.183
55 O 0.782 0.514 0.699
56 O 0.819 0.131 0.241
57 O 0.822 0.288 0.493
58 O 0.824 0.371 0.922
59 O 0.900 0.877 0.154
60 O 0.902 0.961 0.581
61 O 0.906 0.119 0.831
62 O 0.940 0.735 0.375
63 O 0.968 0.715 0.892
64 O 0.989 0.467 0.305

Values from the calculation:
The calculation puts the raw total energy at -5.79 eV per atom. The energy above the most stable polymorph in this dataset is 0.000 eV per atom. The calculation puts the formation enthalpy at 0 K at -1.645 eV per atom.